Ag2SnHgS4 | PBE-GGA | relaxed

Values from the calculation:
DFT formation energy in eV per atom: -0.473

abc: 8.2270 7.2549 6.8837
angles: 90.00 90.00 90.00
Atoms (fractional coordinates):
Ag (0.2469, 0.1730, 0.0000)
Ag (0.2531, 0.8270, 0.5000)
Ag (0.7469, 0.8270, 0.5000)
Ag (0.7531, 0.1730, 0.0000)
Sn (0.0000, 0.3313, 0.4832)
Sn (0.5000, 0.6687, 0.9832)
Hg (0.0000, 0.6497, 0.9969)
Hg (0.5000, 0.3503, 0.4969)
S (0.0000, 0.3255, 0.8394)
S (0.0000, 0.6512, 0.3713)
S (0.2418, 0.1650, 0.3703)
S (0.2582, 0.8350, 0.8703)
S (0.5000, 0.3488, 0.8713)
S (0.5000, 0.6745, 0.3394)
S (0.7418, 0.8350, 0.8703)
S (0.7582, 0.1650, 0.3703)


SiAg6HgSe6 | PBE-GGA | relaxed

Values from the calculation:
DFT formation energy in eV per atom: -0.383

abc: 8.0328 7.7520 11.3481
angles: 90.00 90.00 90.00
Atoms (fractional coordinates):
Si (0.0000, 0.2469, 0.0000)
Si (0.5000, 0.7531, 0.5000)
Ag (0.0000, 0.7233, 0.9697)
Ag (0.0000, 0.8926, 0.5098)
Ag (0.2089, 0.4133, 0.3183)
Ag (0.2346, 0.9907, 0.7410)
Ag (0.2654, 0.0093, 0.2410)
Ag (0.2911, 0.5867, 0.8183)
Ag (0.5000, 0.1074, 0.0098)
Ag (0.5000, 0.2767, 0.4697)
Ag (0.7089, 0.5867, 0.8183)
Ag (0.7346, 0.0093, 0.2410)
Ag (0.7654, 0.9907, 0.7410)
Ag (0.7911, 0.4133, 0.3183)
Hg (0.0000, 0.4687, 0.6108)
Hg (0.5000, 0.5313, 0.1108)
Se (0.0000, 0.2337, 0.4586)
Se (0.0000, 0.4765, 0.1268)
Se (0.0000, 0.7460, 0.7373)
Se (0.0000, 0.9961, 0.1074)
Se (0.2382, 0.2540, 0.8855)
Se (0.2618, 0.7460, 0.3855)
Se (0.5000, 0.0039, 0.6074)
Se (0.5000, 0.2540, 0.2373)
Se (0.5000, 0.5235, 0.6268)
Se (0.5000, 0.7663, 0.9586)
Se (0.7382, 0.7460, 0.3855)
Se (0.7618, 0.2540, 0.8855)


Ag2SnHgSe4 | PBE-GGA | relaxed

Values from the calculation:
DFT formation energy in eV per atom: -0.478

abc: 8.6247 7.5749 7.1715
angles: 90.00 90.00 90.00
Atoms (fractional coordinates):
Ag (0.2472, 0.1744, 0.0000)
Ag (0.2528, 0.8256, 0.5000)
Ag (0.7472, 0.8256, 0.5000)
Ag (0.7528, 0.1744, 0.0000)
Sn (0.0000, 0.6675, 0.9872)
Sn (0.5000, 0.3325, 0.4872)
Hg (0.0000, 0.3497, 0.4848)
Hg (0.5000, 0.6503, 0.9848)
Se (0.0000, 0.3452, 0.8678)
Se (0.0000, 0.6815, 0.3501)
Se (0.2434, 0.8390, 0.8708)
Se (0.2566, 0.1610, 0.3708)
Se (0.5000, 0.3185, 0.8501)
Se (0.5000, 0.6548, 0.3678)
Se (0.7434, 0.1610, 0.3708)
Se (0.7566, 0.8390, 0.8708)


SmAgHg2 | PBE-GGA | relaxed

Values from the calculation:
DFT formation energy in eV per atom: -0.359

abc: 5.0913 5.0913 5.0913
angles: 60.00 60.00 60.00
Atoms (fractional coordinates):
Sm (0.0000, 0.0000, 0.0000)
Ag (0.5000, 0.5000, 0.5000)
Hg (0.2500, 0.2500, 0.2500)
Hg (0.7500, 0.7500, 0.7500)


Sm2AgHg | PBE-GGA | relaxed

Values from the calculation:
DFT formation energy in eV per atom: -0.383

abc: 5.3148 5.3148 5.3148
angles: 60.00 60.00 60.00
Atoms (fractional coordinates):
Sm (0.2500, 0.2500, 0.2500)
Sm (0.7500, 0.7500, 0.7500)
Ag (0.0000, 0.0000, 0.0000)
Hg (0.5000, 0.5000, 0.5000)


SmAg2Hg | PBE-GGA | relaxed

Values from the calculation:
DFT formation energy in eV per atom: -0.267

abc: 5.0183 5.0183 5.0183
angles: 60.00 60.00 60.00
Atoms (fractional coordinates):
Sm (0.0000, 0.0000, 0.0000)
Ag (0.2500, 0.2500, 0.2500)
Ag (0.7500, 0.7500, 0.7500)
Hg (0.5000, 0.5000, 0.5000)


ThAgHg2 | PBE-GGA | relaxed

Values from the calculation:
DFT formation energy in eV per atom: -0.203

abc: 5.1516 5.1516 5.1516
angles: 60.00 60.00 60.00
Atoms (fractional coordinates):
Th (0.0000, 0.0000, 0.0000)
Ag (0.5000, 0.5000, 0.5000)
Hg (0.2500, 0.2500, 0.2500)
Hg (0.7500, 0.7500, 0.7500)


YAgHg2 | PBE-GGA | relaxed

Values from the calculation:
DFT formation energy in eV per atom: -0.348

abc: 5.0378 5.0378 5.0378
angles: 60.00 60.00 60.00
Atoms (fractional coordinates):
Y (0.0000, 0.0000, 0.0000)
Ag (0.5000, 0.5000, 0.5000)
Hg (0.2500, 0.2500, 0.2500)
Hg (0.7500, 0.7500, 0.7500)


HoAg | PBE-GGA | relaxed

Values from the calculation:
DFT formation energy in eV per atom: -0.341

abc: 3.6282 3.6282 3.6282
angles: 90.00 90.00 90.00
Atoms (fractional coordinates):
Ho (0.0000, 0.0000, 0.0000)
Ag (0.5000, 0.5000, 0.5000)


Ho14Ag51 | PBE-GGA | relaxed

Values from the calculation:
DFT formation energy in eV per atom: -0.239

abc: 12.7367 12.7367 9.3848
angles: 90.00 90.00 120.00
Atoms (fractional coordinates):
Ho (0.0000, 0.0000, 0.1920)
Ho (0.0000, 0.0000, 0.8080)
Ho (0.1136, 0.7258, 0.5000)
Ho (0.1401, 0.4682, 0.0000)
Ho (0.2742, 0.3877, 0.5000)
Ho (0.3281, 0.8599, 0.0000)
Ho (0.3970, 0.1159, 0.5000)
Ho (0.4676, 0.3284, 0.0000)
Ho (0.5318, 0.6719, 0.0000)
Ho (0.6123, 0.8864, 0.5000)
Ho (0.6716, 0.1392, 0.0000)
Ho (0.7189, 0.6030, 0.5000)
Ho (0.8608, 0.5324, 0.0000)
Ho (0.8841, 0.2811, 0.5000)
Ag (0.0596, 0.8215, 0.0000)
Ag (0.0776, 0.2693, 0.2602)
Ag (0.0776, 0.2693, 0.7398)
Ag (0.1040, 0.6647, 0.1670)
Ag (0.1040, 0.6647, 0.8330)
Ag (0.1158, 0.4951, 0.3487)
Ag (0.1158, 0.4951, 0.6513)
Ag (0.1300, 0.0082, 0.5000)
Ag (0.1785, 0.2381, 0.0000)
Ag (0.1916, 0.9224, 0.2602)
Ag (0.1916, 0.9224, 0.7398)
Ag (0.2386, 0.0604, 0.0000)
Ag (0.2635, 0.1889, 0.2687)
Ag (0.2635, 0.1889, 0.7313)
Ag (0.3333, 0.6667, 0.1970)
Ag (0.3333, 0.6667, 0.5000)
Ag (0.3333, 0.6667, 0.8030)
Ag (0.3353, 0.4393, 0.1670)
Ag (0.3353, 0.4393, 0.8330)
Ag (0.3793, 0.8842, 0.3487)
Ag (0.3793, 0.8842, 0.6513)
Ag (0.4402, 0.1045, 0.1668)
Ag (0.4402, 0.1045, 0.8332)
Ag (0.4931, 0.3778, 0.3481)
Ag (0.4931, 0.3778, 0.6519)
Ag (0.5049, 0.6207, 0.3487)
Ag (0.5049, 0.6207, 0.6513)
Ag (0.5607, 0.8960, 0.1670)
Ag (0.5607, 0.8960, 0.8330)
Ag (0.6222, 0.1153, 0.3481)
Ag (0.6222, 0.1153, 0.6519)
Ag (0.6643, 0.5598, 0.1668)
Ag (0.6643, 0.5598, 0.8332)
Ag (0.6667, 0.3333, 0.1967)
Ag (0.6667, 0.3333, 0.5000)
Ag (0.6667, 0.3333, 0.8033)
Ag (0.7307, 0.8084, 0.2602)
Ag (0.7307, 0.8084, 0.7398)
Ag (0.7619, 0.9404, 0.0000)
Ag (0.8111, 0.0746, 0.2687)
Ag (0.8111, 0.0746, 0.7313)
Ag (0.8218, 0.7614, 0.0000)
Ag (0.8782, 0.8700, 0.5000)
Ag (0.8847, 0.5069, 0.3481)
Ag (0.8847, 0.5069, 0.6519)
Ag (0.8955, 0.3357, 0.1668)
Ag (0.8955, 0.3357, 0.8332)
Ag (0.9254, 0.7365, 0.2687)
Ag (0.9254, 0.7365, 0.7313)
Ag (0.9396, 0.1782, 0.0000)
Ag (0.9918, 0.1218, 0.5000)


Ho2AgIr | PBE-GGA | relaxed

Values from the calculation:
DFT formation energy in eV per atom: -0.632

abc: 4.9530 4.9530 4.9530
angles: 60.00 60.00 60.00
Atoms (fractional coordinates):
Ho (0.2500, 0.2500, 0.2500)
Ho (0.7500, 0.7500, 0.7500)
Ag (0.0000, 0.0000, 0.0000)
Ir (0.5000, 0.5000, 0.5000)


HoMgAg2 | PBE-GGA | relaxed

Values from the calculation:
DFT formation energy in eV per atom: -0.310

abc: 4.9387 4.9387 4.9387
angles: 60.00 60.00 60.00
Atoms (fractional coordinates):
Ho (0.0000, 0.0000, 0.0000)
Mg (0.5000, 0.5000, 0.5000)
Ag (0.2500, 0.2500, 0.2500)
Ag (0.7500, 0.7500, 0.7500)


HoMgAg | PBE-GGA | relaxed

Values from the calculation:
DFT formation energy in eV per atom: -0.272

abc: 7.7410 7.7410 4.0965
angles: 90.00 90.00 120.00
Atoms (fractional coordinates):
Ho (0.0000, 0.5896, 0.0000)
Ho (0.4104, 0.4104, 0.0000)
Ho (0.5896, 0.0000, 0.0000)
Mg (0.0000, 0.2485, 0.5000)
Mg (0.2485, 0.0000, 0.5000)
Mg (0.7515, 0.7515, 0.5000)
Ag (0.0000, 0.0000, 0.0000)
Ag (0.3333, 0.6667, 0.5000)
Ag (0.6667, 0.3333, 0.5000)


HoAgPb | PBE-GGA | relaxed

Values from the calculation:
DFT formation energy in eV per atom: -0.389

abc: 4.8184 4.8184 7.4998
angles: 90.00 90.00 120.00
Atoms (fractional coordinates):
Ho (0.0000, 0.0000, 0.0000)
Ho (0.0000, 0.0000, 0.5000)
Ag (0.3333, 0.6667, 0.1812)
Ag (0.6667, 0.3333, 0.6812)
Pb (0.3333, 0.6667, 0.7788)
Pb (0.6667, 0.3333, 0.2788)


HoAgS2 | PBE-GGA | relaxed

Values from the calculation:
Maximum piezoelectric response in C/m2: 0.02
DFT formation energy in eV per atom: -1.572

abc: 7.6173 7.6173 12.6455
angles: 90.00 90.00 90.00
Atoms (fractional coordinates):
Ho (0.0033, 0.2533, 0.1287)
Ho (0.2467, 0.5033, 0.3787)
Ho (0.2533, 0.0033, 0.8713)
Ho (0.4967, 0.7533, 0.1213)
Ho (0.5033, 0.2467, 0.6213)
Ho (0.7467, 0.9967, 0.3713)
Ho (0.7533, 0.4967, 0.8787)
Ho (0.9967, 0.7467, 0.6287)
Ag (0.0139, 0.2617, 0.6936)
Ag (0.2383, 0.5139, 0.9436)
Ag (0.2617, 0.0139, 0.3064)
Ag (0.4861, 0.7617, 0.5564)
Ag (0.5139, 0.2383, 0.0564)
Ag (0.7383, 0.9861, 0.8064)
Ag (0.7617, 0.4861, 0.4436)
Ag (0.9861, 0.7383, 0.1936)
S (0.0172, 0.2284, 0.3451)
S (0.0275, 0.2724, 0.9109)
S (0.2284, 0.0172, 0.6549)
S (0.2276, 0.5275, 0.1609)
S (0.2724, 0.0275, 0.0891)
S (0.2716, 0.5172, 0.5951)
S (0.4725, 0.7724, 0.3391)
S (0.4828, 0.7284, 0.9049)
S (0.5172, 0.2716, 0.4049)
S (0.5275, 0.2276, 0.8391)
S (0.7284, 0.4828, 0.0951)
S (0.7276, 0.9725, 0.5891)
S (0.7724, 0.4725, 0.6609)
S (0.7716, 0.9828, 0.1549)
S (0.9725, 0.7276, 0.4109)
S (0.9828, 0.7716, 0.8451)


HoAgS2 | PBE-GGA | relaxed

Values from the calculation:
DFT formation energy in eV per atom: -1.563

abc: 7.6331 7.6390 12.4963
angles: 90.00 90.07 90.00
Atoms (fractional coordinates):
Ho (0.0019, 0.0000, 0.2466)
Ho (0.2454, 0.2448, 0.5038)
Ho (0.2542, 0.7473, 0.0042)
Ho (0.4981, 0.9921, 0.7463)
Ho (0.5019, 0.4921, 0.2537)
Ho (0.7458, 0.2473, 0.9958)
Ho (0.7546, 0.7448, 0.4962)
Ho (0.9981, 0.5000, 0.7534)
Ag (0.0082, 0.9834, 0.7385)
Ag (0.2516, 0.7432, 0.5211)
Ag (0.2564, 0.2365, 0.0228)
Ag (0.4999, 0.4904, 0.7696)
Ag (0.5001, 0.9904, 0.2304)
Ag (0.7436, 0.7365, 0.9772)
Ag (0.7484, 0.2432, 0.4789)
Ag (0.9918, 0.4834, 0.2615)
S (0.0173, 0.0140, 0.0253)
S (0.0200, 0.5146, 0.5351)
S (0.2266, 0.2232, 0.7242)
S (0.2300, 0.2664, 0.2849)
S (0.2695, 0.7636, 0.2241)
S (0.2730, 0.7207, 0.7853)
S (0.4793, 0.4754, 0.0354)
S (0.4808, 0.9755, 0.5260)
S (0.5192, 0.4755, 0.4740)
S (0.5207, 0.9754, 0.9646)
S (0.7270, 0.2207, 0.2147)
S (0.7305, 0.2636, 0.7759)
S (0.7700, 0.7664, 0.7151)
S (0.7734, 0.7232, 0.2758)
S (0.9800, 0.0146, 0.4649)
S (0.9827, 0.5140, 0.9747)


HoAgSn2 | PBE-GGA | relaxed

Values from the calculation:
DFT formation energy in eV per atom: -0.430

abc: 4.6404 4.6404 4.4103
angles: 90.00 90.00 90.00
Atoms (fractional coordinates):
Ho (0.0000, 0.0000, 0.0000)
Ag (0.5000, 0.5000, 0.0000)
Sn (0.0000, 0.5000, 0.5000)
Sn (0.5000, 0.0000, 0.5000)


HoAgSn | PBE-GGA | relaxed

Values from the calculation:
DFT formation energy in eV per atom: -0.582

abc: 4.7332 4.7332 7.3877
angles: 90.00 90.00 120.00
Atoms (fractional coordinates):
Ho (0.0000, 0.0000, 0.0000)
Ho (0.0000, 0.0000, 0.5000)
Ag (0.3333, 0.6667, 0.3143)
Ag (0.6667, 0.3333, 0.8143)
Sn (0.3333, 0.6667, 0.7205)
Sn (0.6667, 0.3333, 0.2205)


HoAgSn | PBE-GGA | relaxed

Values from the calculation:
DFT formation energy in eV per atom: -0.286

abc: 4.8301 4.8301 7.4173
angles: 90.00 90.00 120.00
Atoms (fractional coordinates):
Ho (0.0000, 0.0000, 0.2271)
Ho (0.0000, 0.0000, 0.7729)
Ag (0.3333, 0.6667, 0.9724)
Ag (0.6667, 0.3333, 0.0276)
Sn (0.3333, 0.6667, 0.5605)
Sn (0.6667, 0.3333, 0.4395)


HoAgSn | PBE-GGA | relaxed

Values from the calculation:
DFT formation energy in eV per atom: -0.518

abc: 4.8335 4.8335 3.4695
angles: 90.00 90.00 120.00
Atoms (fractional coordinates):
Ho (0.0000, 0.0000, 0.0000)
Ag (0.6667, 0.3333, 0.5000)
Sn (0.3333, 0.6667, 0.5000)